[1]
A geometry-optimized Te2W2SeS structure. Source: Materials Project, functional PBE-GGA.

Geometry as POSCAR:
```
Te2W2SeS
1.0
1.699 -2.943 0.000
1.699 2.943 0.000
0.000 0.000 38.847
Se S W Te
2 2 4 4
Direct
0.333 0.667 0.427
0.333 0.667 0.512
0.333 0.667 0.133
0.333 0.667 0.055
0.333 0.667 0.282
0.000 0.000 0.094
0.000 0.000 0.470
0.333 0.667 0.658
0.000 0.000 0.706
0.000 0.000 0.609
0.000 0.000 0.330
0.000 0.000 0.233
```

* distance to the lowest polymorph of the same formula: 0.001 eV per atom
* density: 6.3 g cm⁻³
* symmetry: No. 156
* energy relative to the elements: -0.407 eV/atom

***

[2]
A geometry-optimized NiPS3 structure. Source: Materials Project, functional PBE-GGA.

Geometry as POSCAR:
```
NiPS3
1.0
5.042 2.910 0.000
-5.042 2.910 0.000
0.000 1.926 6.621
S Ni P
6 2 2
Direct
0.924 0.578 0.229
0.076 0.422 0.771
0.422 0.076 0.771
0.578 0.924 0.229
0.270 0.270 0.229
0.730 0.730 0.771
0.667 0.333 0.000
0.333 0.667 0.000
0.055 0.055 0.835
0.945 0.945 0.165
```

* density: 3.2 g cm⁻³
* symmetry: No. 12
* energy relative to the elements: -0.520 eV/atom

***

[3]
A geometry-optimized Si2H2O3 structure. Source: Materials Project, functional PBE-GGA.

Geometry as POSCAR:
```
Si2H2O3
1.0
-8.832 0.693 2.580
-2.069 -2.880 10.093
-2.338 10.375 5.628
Si O H
20 30 20
Direct
0.140 0.151 0.487
0.400 0.001 0.808
0.328 0.883 0.105
0.635 0.768 0.461
0.677 0.130 0.885
0.745 0.351 0.032
0.783 0.506 0.306
0.686 0.384 0.603
0.092 0.891 0.734
0.135 0.262 0.964
0.280 0.391 0.237
0.854 0.738 0.042
0.878 0.095 0.263
0.155 0.501 0.708
0.221 0.651 0.990
0.367 0.238 0.544
0.645 0.002 0.203
0.308 0.625 0.385
0.766 0.597 0.767
0.871 0.852 0.530
0.809 0.792 0.451
0.338 0.749 0.246
0.112 0.734 0.488
0.734 0.647 0.363
0.076 0.007 0.590
0.478 0.084 0.662
0.665 0.236 0.988
0.251 0.142 0.865
0.714 0.867 0.127
0.298 0.776 0.018
0.263 0.921 0.738
0.187 0.204 0.582
0.122 0.008 0.167
0.909 0.275 0.515
0.549 0.919 0.355
0.774 0.588 0.158
0.292 0.364 0.631
0.964 0.493 0.738
0.912 0.028 0.842
0.077 0.420 0.239
0.027 0.700 0.085
0.182 0.411 0.861
0.909 0.001 0.415
0.946 0.292 0.954
0.326 0.507 0.093
0.816 0.988 0.233
0.665 0.252 0.744
0.204 0.535 0.342
0.711 0.506 0.664
0.677 0.502 0.916
0.904 0.956 0.912
0.429 0.445 0.040
0.888 0.074 0.461
0.180 0.476 0.419
0.130 0.683 0.572
0.592 0.022 0.617
0.428 0.977 0.389
0.139 0.099 0.127
0.093 0.351 0.189
0.089 0.944 0.537
0.620 0.177 0.074
0.365 0.854 0.686
0.570 0.240 0.736
0.209 0.469 0.897
0.359 0.813 0.936
0.575 0.574 0.962
0.642 0.597 0.627
0.894 0.310 0.433
0.769 0.525 0.113
0.454 0.736 0.238
```

* distance to the lowest polymorph of the same formula: 0.656 eV per atom
* density: 1.8 g cm⁻³
* symmetry: No. 1
* energy relative to the elements: -1.421 eV/atom